No. 1
Computed, not measured: a relaxed structure of Na3Mn2SbO6 at the PBE+U level of DFT.

Structure (POSCAR):
```
Na3Mn2SbO6
1.0
-0.760 5.173 -1.883
-1.810 2.524 4.883
4.343 -1.143 3.274
Na Mn Sb O
3 2 1 6
Cartesian
0.886 3.277 3.137
-0.791 5.353 1.442
2.563 1.201 4.832
0.829 3.489 6.436
0.943 3.065 -0.161
0.000 0.000 0.000
0.473 1.469 1.332
1.300 5.085 4.942
-1.416 3.859 3.381
0.146 1.925 4.960
1.626 4.630 1.314
3.189 2.695 2.893
```

## Properties
The raw total energy is -6.091 eV per atom.


No. 2
Computed, not measured: a relaxed structure of Na2MnSi2O6 at the PBE+U level of DFT.

Structure (POSCAR):
```
Na2MnSi2O6
1.0
-4.064 2.172 -5.867
7.787 -2.675 -6.384
-3.980 -9.643 -0.814
Na Mn Si O
12 6 12 36
Cartesian
-1.301 -7.974 -2.239
-3.085 -0.753 -7.441
-0.947 -2.233 -4.727
-2.968 -6.656 -5.339
1.044 -2.172 -10.826
2.829 -9.393 -5.624
0.690 -7.912 -8.338
2.711 -3.490 -7.726
-2.032 1.086 -2.934
1.904 -6.159 -3.599
3.894 -1.338 -3.192
-4.022 -3.735 -3.340
-0.128 -5.073 -6.532
0.000 0.000 0.000
1.901 -3.367 -4.772
-2.158 -6.778 -8.293
-4.122 -6.776 -2.189
-3.921 -0.694 -4.492
-1.073 -4.890 -3.130
-3.425 -3.798 -6.457
-2.979 -9.690 -4.205
-0.823 0.762 -5.954
0.816 -5.255 -9.935
3.169 -6.347 -6.608
2.723 -0.456 -8.860
0.566 -10.907 -7.111
-0.233 -8.307 -5.305
-0.023 -1.838 -7.760
-2.120 -2.157 -1.682
-5.923 -5.313 -4.998
-0.732 -7.201 -6.377
0.476 -2.945 -6.688
-1.053 -1.887 -0.494
-6.990 -5.583 -6.187
0.837 -8.024 -4.119
-1.093 -2.121 -8.946
-2.612 -1.039 -2.751
-5.431 -6.431 -3.930
-1.566 -8.896 -4.524
-0.669 -0.570 -6.919
-1.539 -3.391 -2.617
-4.525 -4.759 -5.686
1.310 -1.250 -8.541
0.413 -9.576 -6.146
1.283 -6.755 -10.448
4.269 -5.386 -7.379
1.263 -1.650 -3.505
-4.052 -7.626 -7.484
-2.390 -5.842 -3.232
-3.121 -2.499 -5.525
-1.519 -8.496 -9.560
3.796 -2.520 -5.581
2.133 -4.304 -9.833
2.865 -7.647 -7.540
-3.498 -8.999 -2.832
-2.406 0.794 -5.603
-0.138 -4.575 -4.418
-2.257 -4.836 -6.893
3.242 -1.146 -10.233
2.150 -10.940 -7.462
-0.118 -5.571 -8.647
2.001 -5.310 -6.172
-0.092 0.420 -4.524
-0.037 -5.492 -2.008
3.815 -0.922 -7.727
3.844 -6.825 -5.190
```

## Properties
The raw total energy is -6.960 eV per atom.


No. 3
Computed, not measured: a relaxed structure of NaMn2Si3O9 at the PBE+U level of DFT.

Structure (POSCAR):
```
NaMn2Si3O9
1.0
5.064 0.990 -4.102
-4.020 4.299 -4.178
2.494 5.078 4.931
Na Mn Si O
2 4 6 18
Cartesian
2.245 4.527 0.170
1.294 5.840 -3.518
0.523 7.020 1.182
3.015 3.343 -4.531
2.499 4.697 3.315
1.039 5.665 -6.666
0.660 3.175 -2.054
2.877 7.190 -1.295
-1.568 5.593 -4.460
5.108 4.775 1.111
-1.093 5.627 -1.421
4.630 4.739 -1.930
-0.884 6.871 -0.382
4.420 3.493 -2.966
2.619 5.718 -5.332
0.913 4.652 1.977
1.427 3.512 -3.412
2.110 6.855 0.063
-0.257 5.167 -5.274
3.796 5.201 1.922
-0.725 2.269 -2.058
4.262 8.096 -1.292
-2.686 4.386 -4.182
6.227 5.982 0.841
0.241 4.640 -1.345
3.293 5.724 -2.004
-1.103 6.210 -2.981
4.645 4.160 -0.370
1.697 2.577 -0.944
1.841 7.789 -2.406
```

## Properties
The raw total energy is -7.485 eV per atom.


No. 4
Computed, not measured: a relaxed structure of Na13Mn5Si12O36 at the PBE+U level of DFT.

Structure (POSCAR):
```
Na13Mn5Si12O36
1.0
10.398 0.000 0.000
0.000 7.494 0.000
0.000 0.123 10.419
Na Mn Si O
13 5 12 36
Cartesian
7.729 5.807 5.099
2.669 5.807 5.099
7.860 1.850 10.318
2.538 1.850 10.318
7.986 2.068 5.440
2.412 2.068 5.440
7.625 5.417 0.221
2.773 5.417 0.221
0.000 5.708 2.603
5.199 2.016 7.940
5.199 1.940 2.561
0.000 5.802 7.827
5.199 3.671 0.147
5.199 5.643 2.697
0.000 1.981 7.894
0.000 3.905 5.430
5.199 0.252 5.152
0.000 7.515 10.328
5.199 3.777 5.500
0.000 3.782 0.385
0.000 0.067 4.922
5.199 7.528 10.226
8.007 0.294 2.688
2.392 0.294 2.688
7.550 7.312 7.936
2.849 7.312 7.936
8.045 3.551 2.642
2.353 3.551 2.642
7.620 4.093 7.715
2.779 4.093 7.715
5.199 2.352 4.747
0.000 5.316 9.999
5.199 6.098 0.793
0.000 1.455 5.736
9.060 0.048 3.937
1.338 0.048 3.937
6.516 7.366 9.233
3.883 7.366 9.233
5.199 1.384 0.413
0.000 6.110 5.628
9.083 3.900 1.401
1.315 3.900 1.401
6.509 3.787 6.495
3.889 3.787 6.495
7.753 1.920 2.547
2.645 1.920 2.547
7.868 5.727 7.637
2.530 5.727 7.637
6.599 7.173 3.263
3.799 7.173 3.263
8.931 0.461 8.507
1.467 0.461 8.507
8.681 7.228 1.325
1.718 7.228 1.325
6.833 0.423 6.603
3.566 0.423 6.603
5.199 5.192 4.638
0.000 2.452 10.081
8.723 3.962 4.048
1.675 3.962 4.048
7.036 3.623 9.129
3.363 3.623 9.129
6.650 4.253 2.228
3.749 4.253 2.228
9.000 3.464 7.149
1.398 3.464 7.149
```

## Properties
The raw total energy is -6.869 eV per atom.


No. 5
Computed, not measured: a relaxed structure of Na2MnSi2O6 at the PBE+U level of DFT.

Structure (POSCAR):
```
Na2MnSi2O6
1.0
-0.885 -6.034 4.302
3.225 -6.071 -7.852
9.864 0.929 3.332
Na Mn Si O
12 6 12 36
Cartesian
10.300 -2.333 2.373
11.823 -5.199 -1.335
4.875 -5.376 2.884
6.578 -8.580 -1.261
0.199 -6.081 1.477
1.886 -9.258 -2.632
5.683 -2.503 0.640
7.220 -5.397 -3.104
3.435 -7.337 0.148
7.200 -0.799 3.575
2.231 -1.194 1.839
8.308 -6.951 1.851
1.779 -4.285 4.043
8.763 -3.860 -0.352
0.086 -0.086 0.102
5.774 -8.500 2.008
10.855 -5.251 1.582
4.343 -2.455 3.682
9.108 -2.120 5.380
5.790 -5.614 -0.217
3.234 -1.617 -1.207
4.699 -4.375 -4.773
7.188 -6.539 4.858
8.948 -9.853 0.572
2.978 -4.234 0.718
4.446 -6.997 -2.856
7.707 -3.898 3.021
9.464 -7.205 -1.256
1.889 -3.014 -3.829
4.326 -5.538 6.058
-0.235 -4.151 3.113
6.652 -4.382 -0.815
3.924 -7.490 2.721
4.972 -9.463 0.169
9.105 -0.421 1.810
11.281 -4.519 -3.490
3.795 -4.441 4.992
10.881 -3.314 0.096
4.430 -5.000 0.503
5.245 -6.535 -1.482
8.583 -2.912 4.023
10.992 -7.448 -1.844
3.004 -3.833 2.293
5.343 -8.237 -3.403
8.741 -4.198 1.805
9.627 -5.866 -0.351
1.461 -6.410 3.656
3.802 -10.818 -2.045
7.924 -1.844 -0.355
8.808 -3.507 -2.506
0.140 -1.827 1.470
6.346 -6.700 0.851
3.070 -2.802 -0.085
4.661 -5.798 -3.961
7.535 -5.337 3.798
9.169 -8.412 -0.179
1.797 -5.145 0.073
2.863 -7.151 -2.523
6.244 -3.236 2.774
8.402 -7.300 -2.483
1.534 -8.123 1.740
2.354 -9.668 -0.258
6.541 -0.254 1.118
8.945 -4.781 -4.736
4.322 -0.729 2.339
10.320 -7.030 2.738
```

## Properties
The raw total energy is -6.961 eV per atom.


No. 6
Computed, not measured: a relaxed structure of Na5Mn4Si6O18 at the PBE+U level of DFT.

Structure (POSCAR):
```
Na5Mn4Si6O18
1.0
7.504 0.000 0.000
0.000 10.424 0.000
0.000 0.000 10.459
Na Mn Si O
10 8 12 36
Cartesian
1.873 3.154 0.000
5.630 8.366 5.229
2.048 5.539 2.768
5.456 0.326 2.462
5.456 0.326 7.997
2.048 5.539 7.691
1.736 0.652 2.740
5.768 5.864 2.489
5.768 5.864 7.970
1.736 0.652 7.719
3.677 0.405 0.000
3.827 5.617 5.229
5.592 8.315 0.000
1.912 3.103 5.229
1.723 8.285 0.000
5.780 3.073 5.229
0.037 5.760 0.000
7.467 0.548 5.229
7.470 0.779 0.000
0.034 5.991 5.229
0.226 8.254 2.872
7.278 3.042 2.357
7.278 3.042 8.101
0.226 8.254 7.587
4.000 3.181 2.369
3.504 8.393 2.861
3.504 8.393 7.598
4.000 3.181 8.090
3.779 5.433 0.000
3.725 0.221 5.229
3.491 1.780 1.718
4.013 6.992 3.511
4.013 6.992 6.947
3.491 1.780 8.741
2.373 6.289 0.000
5.131 1.077 5.229
6.018 0.065 0.000
1.486 5.277 5.229
5.640 3.133 2.590
1.864 8.346 2.639
1.864 8.346 7.819
5.640 3.133 7.869
0.312 4.409 1.679
7.191 9.621 3.551
7.191 9.621 6.908
0.312 4.409 8.780
1.374 10.348 0.000
6.129 5.136 5.229
0.306 2.535 3.819
7.198 7.747 1.410
7.198 7.747 9.049
0.306 2.535 6.640
3.451 3.730 3.800
4.053 8.942 1.429
4.053 8.942 9.030
3.451 3.730 6.658
5.233 6.145 0.000
2.271 0.933 5.229
0.085 1.769 1.330
7.419 6.981 3.900
7.419 6.981 6.559
0.085 1.769 9.129
3.666 4.423 1.314
3.837 9.635 3.916
3.837 9.635 6.543
3.666 4.423 9.145
```

## Properties
The raw total energy is -7.057 eV per atom.


No. 7
Computed, not measured: a relaxed structure of NaMnSi2O6 at the PBE+U level of DFT.

Structure (POSCAR):
```
NaMnSi2O6
1.0
5.303 -0.189 1.171
1.409 6.339 0.571
-0.125 0.099 6.517
Na Mn Si O
2 2 4 12
Cartesian
2.280 4.442 2.626
4.307 1.807 5.632
1.347 0.648 6.241
5.240 5.601 2.017
1.587 1.297 2.900
4.508 2.296 2.443
2.080 3.953 5.815
5.000 4.952 5.358
2.989 2.156 3.120
0.926 4.104 4.633
3.598 4.093 5.138
5.661 2.145 3.626
1.110 0.678 4.319
2.035 2.450 6.418
5.477 5.571 3.939
4.552 3.799 1.841
4.716 1.075 1.366
4.756 6.028 6.574
1.871 5.174 6.893
1.831 0.221 1.684
```

## Properties
The raw total energy is -7.309 eV per atom.


No. 8
Computed, not measured: a relaxed structure of Na6TiMnSi6O18 at the PBE+U level of DFT.

Structure (POSCAR):
```
Na6TiMnSi6O18
1.0
5.282 -5.109 0.000
5.282 5.109 0.000
0.340 0.000 7.341
Na Ti Mn Si O
6 1 1 6 18
Cartesian
0.273 0.000 3.537
2.603 2.409 0.076
2.805 2.228 3.439
4.960 0.000 0.238
2.603 -2.409 0.076
2.805 -2.228 3.439
0.091 0.000 0.061
8.213 0.000 5.529
3.198 0.000 5.380
5.440 -2.318 2.049
5.480 -2.335 5.314
5.440 2.318 2.049
5.480 2.335 5.314
7.738 0.000 1.960
5.040 -3.752 6.004
5.815 -3.733 1.317
2.204 0.000 6.681
4.080 -1.661 1.591
2.474 0.000 3.977
4.193 -1.320 5.606
5.489 -2.660 3.682
6.871 -1.645 5.771
4.193 1.320 5.606
6.766 -1.340 1.785
4.080 1.661 1.591
5.489 2.660 3.682
6.766 1.340 1.785
8.462 0.000 3.407
6.871 1.645 5.771
5.040 3.752 6.004
8.669 0.000 0.614
5.815 3.733 1.317
```

## Properties
The raw total energy is -7.021 eV per atom.


For the records above, the corresponding volume values read 146.6, 813.3, 351.8, 811.9, 814.2, 818.1, 221.6, 396.2 Å³/cell.
For the records above, the corresponding E (MP2020) values read -80.5, -494.1, -243.6, -486.4, -494.2, -503.8, -157.8, -238.7 eV per cell.